First-principles (PBE) data for a geometry-optimized CeP3O14 structure, as listed in the Materials Project.

## Properties
**Magnetic moment**: 0.17 μB per atom
**Energy relative to the elements**: -1.87 eV per atom
**E_tot**: -122.89 eV per formula unit

a b c (Å): 12.9264 13.5312 6.6870
angles (deg): 90.00 90.00 90.00
Closest atoms and distances in Å follow each position.
Space group P2_12_12 (No. 18)
Asymmetric unit:
Ce  0.2309  0.2054  0.3066 (multiplicity 4)  7 O 2.21-2.41
P  0.0226  0.8113  0.5385 (multiplicity 4)  4 O 1.51-1.61
P  0.1525  0.1206  0.7902 (multiplicity 4)  4 O 1.49-1.62
P  0.1944  0.9535  0.5228 (multiplicity 4)  4 O 1.50-1.63
O  0.0330  0.1467  0.7367 (multiplicity 4)  2 P 1.61-1.62
O  0.0561  0.2154  0.3813 (multiplicity 4)  1 P 1.51
O  0.0759  0.5825  0.1471 (multiplicity 4)  1 O 1.23
O  0.0842  0.9060  0.4554 (multiplicity 4)  2 P 1.61-1.63
O  0.0890  0.5925  0.9661 (multiplicity 4)  1 O 1.23
O  0.0968  0.7318  0.6051 (multiplicity 4)  1 P 1.51
O  0.1575  0.3991  0.8587 (multiplicity 4)  1 O 1.25
O  0.1608  0.3377  0.9989 (multiplicity 4)  1 O 1.25
O  0.1633  0.0053  0.7332 (multiplicity 4)  2 P 1.61-1.62
O  0.1632  0.1270  0.0118 (multiplicity 4)  1 P 1.49
O  0.2216  0.0324  0.3740 (multiplicity 4)  1 P 1.50
O  0.2220  0.1817  0.6567 (multiplicity 4)  1 P 1.51
O  0.2277  0.8022  0.9471 (multiplicity 4)  1 O 1.56
O  0.2306  0.3713  0.4366 (multiplicity 4)  1 P 1.50